Density functional theory data (PBE-GGA) for Cu2SnS3 after structural relaxation.

Geometry as POSCAR:
```
Cu2SnS3
1.0
5.797 3.347 0.000
-5.797 3.347 0.000
0.000 2.265 6.330
Cu Sn S
4 2 6
direct
0.558 0.395 0.014 Cu
0.737 0.241 0.512 Cu
0.395 0.558 0.514 Cu
0.241 0.737 0.012 Cu
0.091 0.906 0.496 Sn
0.906 0.091 0.996 Sn
0.756 0.939 0.397 S
0.939 0.756 0.897 S
0.593 0.116 0.876 S
0.116 0.593 0.376 S
0.301 0.470 0.877 S
0.470 0.301 0.377 S
```

Calculated values
Energy with MP2020 corrections ... -28.1 eV/f.u.
DFT total energy ... -26.6 eV/f.u.
Energy of formation ... -0.578 eV per atom
Maximum piezoelectric response ... 0.29 C/m²